[1]
Here is a geometry-optimized Na5Hf2Si3Ge2P3O24 structure from the Materials Project database. Energies are from PBE.

Output
E_tot in eV/atom: -7.238
Formation enthalpy at 0 K in eV/f.u.: -111.72
Volume in Å³/cell: 1502

abc: 8.8323 8.8212 22.1965
angles: 90.11 89.74 119.70
Sites, in units of the cell vectors:
O 0.1513 0.6812 0.7495
O 0.5183 0.6474 0.8580
O 0.8391 0.2919 0.5248
O 0.4849 0.3516 0.1463
O 0.1738 0.4740 0.2542
O 0.1748 0.0159 0.5892
O 0.6933 0.1890 0.7368
O 0.1433 0.4582 0.9754
O 0.1761 0.1972 0.4169
O 0.3140 0.8510 0.9745
O 0.3476 0.8641 0.8535
O 0.8375 0.8137 0.5887
O 0.4533 0.2862 0.0305
O 0.8724 0.3738 0.6362
O 0.3529 0.8479 0.5770
O 0.8070 0.9808 0.6816
O 0.1529 0.6629 0.0810
O 0.1425 0.4900 0.8622
O 0.3002 0.4718 0.4751
O 0.6530 0.5071 0.9187
O 0.0208 0.1924 0.9116
O 0.8253 0.9871 0.4120
O 0.5106 0.1554 0.9173
O 0.1574 0.9755 0.9101
O 0.1689 0.9727 0.1954
O 0.8656 0.3673 0.9198
O 0.8401 0.0260 0.0918
O 0.7047 0.5430 0.2469
O 0.5179 0.8421 0.7463
O 0.1726 0.7104 0.4771
O 0.6459 0.1563 0.4270
O 0.8286 0.0386 0.8010
O 0.5444 0.8422 0.4818
O 0.8350 0.8023 0.3085
O 0.4648 0.1672 0.5221
O 0.4713 0.2972 0.7376
O 0.9834 0.1669 0.3152
O 0.5034 0.3616 0.4270
O 0.4583 0.1623 0.2512
O 0.3660 0.4885 0.3642
O 0.8703 0.5021 0.1437
O 0.1174 0.6216 0.3596
O 0.1728 0.1921 0.6866
O 0.9674 0.7868 0.8022
O 0.8083 0.8323 0.1936
O 0.1896 0.0185 0.3123
O 0.3357 0.4932 0.0818
O 0.2088 0.1707 0.7984
O 0.5434 0.7111 0.2560
O 0.5361 0.6806 0.9716
O 0.6400 0.1235 0.1416
O 0.9780 0.8290 0.0946
O 0.0276 0.8250 0.6889
O 0.3078 0.4649 0.7481
O 0.9751 0.1683 0.5876
O 0.1371 0.5014 0.5748
O 0.0182 0.1888 0.1902
O 0.8078 0.8295 0.9102
O 0.0284 0.8484 0.4107
O 0.4956 0.8723 0.3650
O 0.6280 0.4934 0.6425
O 0.2927 0.8340 0.2568
O 0.5121 0.8612 0.0791
O 0.1711 0.1520 0.0932
O 0.8479 0.4881 0.4278
O 0.5053 0.1289 0.6403
O 0.4877 0.6399 0.5759
O 0.7068 0.1589 0.0308
O 0.7130 0.5310 0.5266
O 0.8447 0.5453 0.0252
O 0.8207 0.5220 0.7380
O 0.8309 0.3054 0.2526
Ge 0.6646 0.3327 0.6812
Ge 0.0002 0.0019 0.1485
Ge 0.9979 0.9968 0.6429
Ge 0.6680 0.3374 0.4829
Ge 0.3437 0.6776 0.5197
Ge 0.9870 0.9899 0.3564
P 0.2894 0.2832 0.7413
P 0.7235 0.7269 0.2509
P 0.9569 0.3340 0.5816
P 0.6751 0.0410 0.0863
P 0.9859 0.7005 0.7442
P 0.2764 0.0013 0.2538
P 0.3400 0.3824 0.4218
P 0.0434 0.3749 0.9164
P 0.6258 0.6665 0.9145
Na 0.0265 0.3395 0.0909
Na 0.3662 0.9995 0.7464
Na 0.3345 0.6378 0.6613
Na 0.3553 0.6560 0.1685
Na 0.0017 0.6197 0.2504
Na 0.0328 0.7007 0.5804
Na 0.9782 0.6717 0.9203
Na 0.9974 0.9972 0.5003
Na 0.6622 0.3335 0.3387
Na 0.9692 0.3028 0.4143
Na 0.3368 0.0327 0.4189
Na 0.6671 0.3261 0.8292
Na 0.3008 0.9740 0.0815
Na 0.9947 0.9993 0.0006
Na 0.6624 0.9611 0.5849
Si 0.3759 0.0484 0.5821
Si 0.0374 0.6658 0.4194
Si 0.3371 0.9665 0.9137
Si 0.9541 0.6345 0.0865
Si 0.0018 0.2767 0.2533
Si 0.3654 0.3273 0.0889
Si 0.7162 0.0141 0.7408
Si 0.6277 0.9597 0.4209
Si 0.6597 0.6140 0.5832
Hf 0.9972 0.0064 0.8492
Hf 0.3404 0.6692 0.8068
Hf 0.3366 0.6653 0.3148
Hf 0.6566 0.3290 0.9811
Hf 0.3348 0.6675 0.0208
Hf 0.6629 0.3287 0.1924

***

[2]
Here is a geometry-optimized Na6Hf4Si7Ge4S5O48 structure from the Materials Project database. Energies are from PBE.

Output
E_tot in eV/atom: -7.093
Formation enthalpy at 0 K in eV/f.u.: -195.42
Volume in Å³/cell: 3016

abc: 17.5782 8.7732 22.5886
angles: 89.91 89.75 120.01
Sites, in units of the cell vectors:
S 0.3128 0.6713 0.9145
S 0.9750 0.6193 0.0831
S 0.5010 0.2942 0.2510
S 0.6663 0.3791 0.4149
S 0.1660 0.9528 0.9142
S 0.0004 0.7056 0.7505
S 0.4748 0.3305 0.5832
S 0.8131 0.9539 0.4148
S 0.6885 0.0467 0.5837
S 0.8345 0.0548 0.0823
S 0.1659 0.3773 0.4169
S 0.1879 0.3293 0.0832
S 0.6658 0.9537 0.9159
S 0.9769 0.3341 0.5849
S 0.3337 0.6141 0.5824
Hf 0.4994 0.9910 0.1427
Hf 0.6622 0.6437 0.0222
Hf 0.0014 0.0019 0.6461
Hf 0.1685 0.6876 0.5190
Hf 0.6685 0.6665 0.5221
Hf 0.1693 0.6714 0.0229
Hf 0.9955 0.0150 0.8534
Hf 0.4949 0.9922 0.6528
Hf 0.8398 0.3516 0.4767
Hf 0.3433 0.3355 0.9792
Hf 0.9959 0.9995 0.1523
Hf 0.4957 0.9762 0.3516
O 0.4207 0.4844 0.4276
O 0.7695 0.7038 0.9742
O 0.0148 0.8133 0.6965
O 0.2722 0.6975 0.9682
O 0.3443 0.5059 0.2398
O 0.4230 0.3180 0.2474
O 0.0851 0.4885 0.2620
O 0.7441 0.3545 0.4216
O 0.9105 0.8278 0.9084
O 0.4848 0.8074 0.0875
O 0.0842 0.2166 0.6938
O 0.5874 0.9775 0.9107
O 0.2430 0.1319 0.9194
O 0.2564 0.6416 0.8610
O 0.7565 0.8729 0.3624
O 0.0795 0.6858 0.7551
O 0.3154 0.1501 0.4226
O 0.4179 0.5319 0.0273
O 0.0140 0.8578 0.4044
O 0.6573 0.4628 0.4697
O 0.1848 0.8641 0.5805
O 0.1823 0.8718 0.8612
O 0.8512 0.1636 0.0278
O 0.4856 0.1733 0.5863
O 0.2450 0.8528 0.0810
O 0.3472 0.1757 0.7441
O 0.6010 0.1661 0.0889
O 0.2411 0.1783 0.5221
O 0.0663 0.5070 0.8564
O 0.5646 0.4883 0.5764
O 0.8452 0.5285 0.5278
O 0.7452 0.6348 0.5815
O 0.0644 0.6405 0.0763
O 0.4170 0.0424 0.8079
O 0.4248 0.3502 0.9148
O 0.7720 0.8464 0.4695
O 0.6082 0.0424 0.3098
O 0.5736 0.6391 0.0813
O 0.7421 0.1226 0.6381
O 0.8191 0.4874 0.6443
O 0.9854 0.7837 0.8029
O 0.7497 0.6773 0.2657
O 0.5812 0.4761 0.2569
O 0.3883 0.9527 0.6939
O 0.9140 0.0327 0.0866
O 0.1787 0.4893 0.0783
O 0.0127 0.1945 0.9122
O 0.9004 0.9732 0.4102
O 0.9267 0.4991 0.4174
O 0.1812 0.4847 0.3638
O 0.4885 0.1883 0.3049
O 0.5837 0.2061 0.6936
O 0.4118 0.9944 0.4096
O 0.5161 0.2201 0.1980
O 0.4295 0.4942 0.1464
O 0.4125 0.7756 0.3058
O 0.7460 0.6242 0.8580
O 0.9224 0.5382 0.0291
O 0.2514 0.6777 0.2618
O 0.8938 0.9637 0.6912
O 0.2462 0.3234 0.7432
O 0.8892 0.8252 0.1943
O 0.9231 0.3084 0.5310
O 0.9204 0.3573 0.9270
O 0.4222 0.3066 0.5292
O 0.6538 0.4838 0.7557
O 0.1525 0.4885 0.7596
O 0.0828 0.4774 0.9741
O 0.2712 0.8410 0.4737
O 0.7436 0.3098 0.7457
O 0.8189 0.1277 0.4226
O 0.5669 0.6248 0.3576
O 0.3494 0.5388 0.5279
O 0.9155 0.3217 0.2402
O 0.4197 0.0342 0.0899
O 0.4123 0.7962 0.5863
O 0.8473 0.5180 0.2442
O 0.0992 0.1721 0.0878
O 0.6523 0.8182 0.2594
O 0.7555 0.8797 0.0772
O 0.3229 0.5133 0.6371
O 0.5137 0.1685 0.9042
O 0.3167 0.5076 0.9195
O 0.4803 0.8043 0.8103
O 0.6008 0.0288 0.5878
O 0.7617 0.3668 0.1424
O 0.1000 0.0388 0.5888
O 0.7519 0.8278 0.7605
O 0.6813 0.8775 0.8621
O 0.4397 0.3617 0.6381
O 0.4001 0.8278 0.9087
O 0.9400 0.5176 0.1383
O 0.2604 0.1548 0.6423
O 0.5867 0.2056 0.4117
O 0.5809 0.4477 0.9691
O 0.6903 0.5097 0.0803
O 0.0829 0.9613 0.1945
O 0.1061 0.1712 0.8079
O 0.5855 0.6832 0.7614
O 0.9198 0.8114 0.5895
O 0.2403 0.3596 0.1373
O 0.0856 0.9634 0.9098
O 0.1562 0.8496 0.9685
O 0.4152 0.5091 0.7397
O 0.9226 0.5245 0.7435
O 0.3420 0.1546 0.0262
O 0.9163 0.7888 0.3085
O 0.8475 0.1883 0.7354
O 0.7471 0.1700 0.2442
O 0.0878 0.1974 0.4128
O 0.5825 0.6880 0.4746
O 0.0690 0.6403 0.3535
O 0.7312 0.1496 0.5301
O 0.2473 0.1833 0.2422
O 0.9140 0.0542 0.8039
O 0.1536 0.8265 0.2559
O 0.7461 0.1368 0.9207
O 0.6835 0.4907 0.3624
O 0.2450 0.8673 0.3590
O 0.6531 0.8507 0.9700
O 0.5679 0.4949 0.8526
O 0.3926 0.8263 0.1932
O 0.9805 0.1564 0.3110
O 0.3134 0.1400 0.1448
O 0.0188 0.2093 0.1944
O 0.8241 0.1348 0.1372
O 0.0808 0.7104 0.4703
O 0.7412 0.3015 0.0219
O 0.5185 0.8279 0.6938
O 0.6049 0.1702 0.8102
O 0.5842 0.9546 0.1953
O 0.2491 0.8214 0.7650
O 0.1076 0.0421 0.3102
O 0.9372 0.3602 0.6386
O 0.2280 0.3082 0.0287
O 0.6798 0.8690 0.5793
O 0.8156 0.4816 0.9225
O 0.2534 0.6300 0.5774
O 0.5131 0.8329 0.4128
O 0.9842 0.1737 0.5872
O 0.2466 0.3563 0.4224
O 0.9855 0.7976 0.0864
O 0.1533 0.4564 0.4714
O 0.0655 0.4893 0.5781
Si 0.1484 0.2954 0.7507
Si 0.0232 0.6769 0.4097
Si 0.5009 0.7101 0.7536
Si 0.6482 0.0035 0.2508
Si 0.8469 0.9967 0.7477
Si 0.0008 0.2918 0.2534
Si 0.3475 0.9898 0.7534
Si 0.6468 0.2925 0.7511
Si 0.6987 0.3325 0.0844
Si 0.8473 0.7042 0.2528
Si 0.1979 0.0641 0.5843
Si 0.3328 0.0491 0.0879
Si 0.4763 0.6159 0.0869
Si 0.0205 0.3862 0.9183
Si 0.1513 0.0098 0.2493
Si 0.8335 0.6191 0.5877
Si 0.8107 0.6675 0.9160
Si 0.5207 0.6569 0.4179
Si 0.3465 0.6960 0.2482
Si 0.3130 0.9584 0.4141
Si 0.5214 0.3676 0.9098
Ge 0.5005 0.0121 0.8432
Ge 0.8341 0.3454 0.9767
Ge 0.6631 0.6751 0.3109
Ge 0.8259 0.3308 0.1951
Ge 0.0017 0.9876 0.3403
Ge 0.6677 0.6544 0.8109
Ge 0.3338 0.3229 0.4758
Ge 0.3305 0.3294 0.1861
Ge 0.3262 0.3196 0.6959
Ge 0.1681 0.6838 0.3088
Ge 0.8196 0.3259 0.6908
Ge 0.1675 0.6531 0.8146
Na 0.9993 0.3523 0.7517
Na 0.1755 0.6813 0.6687
Na 0.8312 0.3305 0.8355
Na 0.1660 0.0300 0.4143
Na 0.6728 0.6728 0.6735
Na 0.4930 0.9881 0.4952
Na 0.4981 0.0004 0.0039
Na 0.3314 0.3340 0.3307
Na 0.1756 0.6763 0.1722
Na 0.6692 0.6663 0.1643
Na 0.0011 0.6354 0.2510
Na 0.8321 0.3280 0.3283
Na 0.5005 0.3682 0.7533
Na 0.4976 0.6449 0.2454
Na 0.9933 0.9979 0.9969
Na 0.3327 0.3351 0.8315
Na 0.6650 0.3028 0.9177
Na 0.9992 0.9888 0.4999

***

[3]
Here is a geometry-optimized Na6Hf2Si5Ge2SO24 structure from the Materials Project database. Energies are from PBE.

Output
E_tot in eV/atom: -7.045
Formation enthalpy at 0 K in eV/f.u.: -111.16
Volume in Å³/cell: 1535

abc: 8.9452 8.9181 22.1964
angles: 90.29 89.62 119.92
Sites, in units of the cell vectors:
O 0.3547 0.8515 0.5798
O 0.3140 0.4838 0.7594
O 0.4873 0.3566 0.4176
O 0.5084 0.8682 0.0760
O 0.4932 0.6407 0.5792
O 0.1548 0.6918 0.4732
O 0.9554 0.1665 0.3031
O 0.6425 0.5075 0.9227
O 0.3130 0.4572 0.4699
O 0.3164 0.8309 0.2524
O 0.3524 0.5111 0.0737
O 0.5103 0.1567 0.9301
O 0.2266 0.0537 0.3084
O 0.8656 0.4953 0.1420
O 0.8348 0.2936 0.5274
O 0.1622 0.9533 0.1929
O 0.5239 0.8275 0.7599
O 0.8322 0.7850 0.3041
O 0.6954 0.1707 0.7510
O 0.4942 0.1766 0.2374
O 0.1810 0.1659 0.0907
O 0.1384 0.6345 0.0773
O 0.1780 0.2032 0.4111
O 0.4942 0.1269 0.6418
O 0.2944 0.8184 0.9762
O 0.8286 0.5256 0.7520
O 0.8510 0.0371 0.8100
O 0.1834 0.0199 0.5857
O 0.1113 0.4867 0.8610
O 0.8267 0.3142 0.2375
O 0.3554 0.4814 0.3595
O 0.4956 0.3677 0.1441
O 0.8235 0.0316 0.0865
O 0.8529 0.4976 0.4135
O 0.1771 0.2177 0.6912
O 0.1525 0.5003 0.5778
O 0.4596 0.1619 0.5221
O 0.5233 0.6417 0.8636
O 0.0379 0.8273 0.6936
O 0.6980 0.1587 0.0300
O 0.7987 0.8190 0.9162
O 0.4741 0.3015 0.0258
O 0.5125 0.6859 0.2555
O 0.6872 0.5170 0.2399
O 0.7868 0.9624 0.6919
O 0.8407 0.3572 0.9292
O 0.5421 0.8467 0.4745
O 0.1395 0.6391 0.3518
O 0.9660 0.8091 0.8141
O 0.0431 0.8491 0.4094
O 0.8842 0.3730 0.6447
O 0.3714 0.8888 0.8598
O 0.1523 0.9676 0.9140
O 0.6346 0.1182 0.1392
O 0.9799 0.1606 0.5861
O 0.8169 0.9822 0.4106
O 0.8298 0.5297 0.0228
O 0.8027 0.8498 0.1899
O 0.8360 0.8150 0.5863
O 0.9693 0.8194 0.0914
O 0.1507 0.4469 0.9783
O 0.5341 0.6883 0.9723
O 0.1761 0.4856 0.2541
O 0.2059 0.1598 0.8088
O 0.4963 0.8572 0.3539
O 0.6232 0.1380 0.4142
O 0.0416 0.2031 0.1868
O 0.4805 0.3080 0.7492
O 0.0140 0.1693 0.9116
O 0.1708 0.6942 0.7586
O 0.7001 0.5320 0.5264
O 0.6322 0.5101 0.6449
Na 0.0343 0.3288 0.0862
Na 0.6581 0.3172 0.8387
Na 0.9990 0.6348 0.2496
Na 0.3644 0.3664 0.2476
Na 0.3349 0.6665 0.6677
Na 0.6401 0.0056 0.2495
Na 0.0284 0.6969 0.5828
Na 0.3398 0.6716 0.1623
Na 0.6696 0.9706 0.5832
Na 0.6335 0.6346 0.7490
Na 0.9700 0.6667 0.9175
Na 0.9824 0.9883 0.4981
Na 0.6832 0.3392 0.3324
Na 0.3686 0.0021 0.7516
Na 0.3030 0.3319 0.5858
Na 0.0106 0.0042 0.0005
Na 0.0001 0.3664 0.7512
Na 0.3325 0.0255 0.4165
Hf 0.6823 0.3361 0.4769
Hf 0.3274 0.6715 0.8193
Hf 0.9998 0.9997 0.6485
Hf 0.3363 0.6750 0.5187
Hf 0.9893 0.9925 0.3497
Hf 0.6695 0.3341 0.6891
Si 0.3002 0.0080 0.2481
Si 0.9451 0.6250 0.0829
Si 0.9999 0.7165 0.7556
Si 0.7084 0.7118 0.2451
Si 0.6659 0.6241 0.5835
Si 0.0437 0.6662 0.4117
Si 0.3372 0.9666 0.9222
Si 0.6242 0.9551 0.4124
Si 0.3752 0.0443 0.5817
Si 0.3805 0.3371 0.0826
Si 0.2919 0.2924 0.7524
Si 0.7155 0.9987 0.7554
Si 0.9990 0.2920 0.2453
Si 0.0251 0.3576 0.9191
Si 0.9623 0.3319 0.5842
S 0.6632 0.0416 0.0831
S 0.3340 0.3777 0.4130
S 0.6230 0.6652 0.9205
Ge 0.6596 0.3263 0.9839
Ge 0.0207 0.0199 0.8531
Ge 0.3302 0.6808 0.3076
Ge 0.2922 0.6413 0.0191
Ge 0.0187 0.9963 0.1490
Ge 0.6675 0.3493 0.1850